# 1
BaCaGdSbO6: relaxed, PBE.

```
20
Lattice="5.9176 0.0000 0.0000 -0.0241 5.9657 0.0000 -0.0634 -0.0712 8.4139" Properties=species:S:1:pos:R:3 pbc="T T T"
Ba 0.0117 0.1334 2.1064
Ba 5.8184 5.7611 6.3075
Ca 2.8973 3.2052 2.1315
Ca 2.9328 2.6893 6.2824
Gd -0.0438 2.9472 4.2070
Gd 2.9588 0.0000 0.0000
Sb -0.0121 2.9828 0.0000
Sb 2.9271 -0.0356 4.2070
O 0.5284 2.9131 6.4603
O 1.1732 4.5698 0.3044
O 1.3237 4.7190 3.9768
O 1.5976 1.8243 0.4630
O 1.8112 1.6242 3.8046
O 2.5716 0.2534 6.1741
O 3.2584 5.6410 2.2398
O 4.0189 4.2702 4.6093
O 4.2324 4.0701 7.9509
O 4.5064 1.1754 4.4372
O 4.6569 1.3247 8.1095
O 5.3016 2.9814 1.9536
```

DFT formation energy (eV/atom): -3.0242
Total energy (eV per atom): -7.7938
Magnetic moment (μB/atom): 0.70

---

# 2
KPrNbInO6: relaxed, PBE.

```
10
Lattice="0.0000 4.1215 4.1215 4.1215 0.0000 4.1215 4.1215 4.1215 0.0000" Properties=species:S:1:pos:R:3 pbc="T T T"
K 0.0000 0.0000 0.0000
Pr 4.1215 4.1215 4.1215
Nb 6.1822 6.1822 6.1822
In 2.0607 2.0607 2.0607
O 6.1822 6.1822 4.1885
O 6.1822 4.1885 6.1822
O 8.1760 6.1822 6.1822
O 4.1885 6.1822 6.1822
O 6.1822 8.1760 6.1822
O 6.1822 6.1822 8.1760
```

DFT formation energy (eV/atom): -2.7117
Total energy (eV per atom): -7.1427
Magnetic moment (μB/atom): 0.00

---

# 3
NaNdTiO4: relaxed, PBE.

```
14
Lattice="3.7592 0.0000 0.0000 0.0000 3.7592 0.0000 0.0000 0.0000 13.0986" Properties=species:S:1:pos:R:3 pbc="T T T"
Na 0.9398 0.9398 1.0940
Na 2.8194 2.8194 12.0046
Nd 0.9398 0.9398 5.1337
Nd 2.8194 2.8194 7.9649
Ti 0.9398 0.9398 10.1008
Ti 2.8194 2.8194 2.9977
O 0.9398 0.9398 7.4592
O 0.9398 0.9398 11.8660
O 0.9398 2.8194 3.4860
O 0.9398 2.8194 9.6126
O 2.8194 0.9398 3.4860
O 2.8194 0.9398 9.6126
O 2.8194 2.8194 1.2326
O 2.8194 2.8194 5.6394
```

DFT formation energy (eV/atom): -3.3380
Total energy (eV per atom): -7.7708
Magnetic moment (μB/atom): 0.00